Compound: Li5BiS4
Source: the Materials Project database
Functional: GGA-PBE
Structure: optimized geometry

The value obtained for the total magnetization is 0.00 μB per formula unit. For the energy relative to the elements, the calculation gives -12.3 eV/f.u.

a b c (Å): 16.620 16.620 5.939
angles (deg): 90.00 90.00 90.00
Space group P4_2/nmc (No. 137, origin choice 2)
Asymmetric unit:
Li 0.010 0.510 0.250 x8
Li 0.112 0.137 0.187 x16
Li 0.122 0.622 0.750 x8
Li 0.250 0.250 0.164 x4
Li 0.250 0.750 0.250 x2
Li 0.250 0.750 0.750 x2
Bi 0.018 0.750 0.286 x8
S 0.009 0.115 0.471 x16
S 0.132 0.250 0.913 x8
S 0.132 0.750 0.976 x8

***

Compound: Li5BiS4
Source: the Materials Project database
Functional: GGA-PBE
Structure: optimized geometry

The value obtained for the total magnetization is 0.00 μB per formula unit. For the energy relative to the elements, the calculation gives -12.4 eV/f.u.

a b c (Å): 11.409 11.793 11.995
angles (deg): 90.00 90.00 90.00
Space group Pbca (No. 61)
Asymmetric unit:
Li 0.117 0.130 0.147 x8
Li 0.125 0.598 0.852 x8
Li 0.131 0.647 0.093 x8
Li 0.142 0.636 0.363 x8
Li 0.148 0.107 0.600 x8
Bi 0.084 0.151 0.858 x8
S 0.006 0.735 0.956 x8
S 0.021 0.529 0.226 x8
S 0.222 0.027 0.987 x8
S 0.239 0.731 0.732 x8

***

Compound: Li5BiS4
Source: the Materials Project database
Functional: GGA-PBE
Structure: optimized geometry

The value obtained for the total magnetization is 0.00 μB per formula unit. For the energy relative to the elements, the calculation gives -12.5 eV/f.u.

a b c (Å): 3.947 7.231 13.504
angles (deg): 90.00 90.00 90.00
Space group Immm (No. 71)
Asymmetric unit:
Li 0.000 0.000 0.000 x2
Li 0.000 0.205 0.320 x8
Bi 0.000 0.500 0.000 x2
S 0.000 0.275 0.500 x4
S 0.000 0.500 0.214 x4